{
  "formula": "Li2VFeP4O14",
  "functional": "PBE with a Hubbard U",
  "state": "optimized geometry",
  "cell": [[7.039, 0.000, 0.000], [0.000, 8.243, 0.000], [-3.160, 0.000, 9.234]],
  "species": ["Li", "Li", "Li", "Li", "V", "V", "Fe", "Fe", "P", "P", "P", "P", "P", "P", "P", "P", "O", "O", "O", "O", "O", "O", "O", "O", "O", "O", "O", "O", "O", "O", "O", "O", "O", "O", "O", "O", "O", "O", "O", "O", "O", "O", "O", "O"],
  "fractional_positions": [[0.177, 0.000, 0.338], [0.177, 0.001, 0.838], [0.823, 0.500, 0.662], [0.823, 0.501, 0.162], [0.228, 0.636, 0.858], [0.772, 0.136, 0.142], [0.232, 0.636, 0.358], [0.768, 0.136, 0.642], [0.021, 0.318, 0.450], [0.022, 0.317, 0.950], [0.414, 0.421, 0.145], [0.415, 0.421, 0.644], [0.585, 0.921, 0.356], [0.586, 0.921, 0.855], [0.978, 0.817, 0.050], [0.979, 0.818, 0.550], [0.005, 0.481, 0.874], [0.007, 0.482, 0.373], [0.017, 0.674, 0.156], [0.018, 0.675, 0.657], [0.106, 0.815, 0.948], [0.106, 0.816, 0.449], [0.254, 0.290, 0.048], [0.254, 0.290, 0.547], [0.352, 0.460, 0.776], [0.353, 0.461, 0.276], [0.384, 0.831, 0.315], [0.385, 0.833, 0.815], [0.418, 0.570, 0.551], [0.418, 0.571, 0.052], [0.582, 0.070, 0.449], [0.582, 0.071, 0.948], [0.615, 0.333, 0.185], [0.616, 0.331, 0.685], [0.647, 0.961, 0.724], [0.648, 0.960, 0.224], [0.746, 0.790, 0.453], [0.746, 0.790, 0.952], [0.894, 0.315, 0.052], [0.894, 0.316, 0.551], [0.982, 0.175, 0.343], [0.983, 0.174, 0.844], [0.993, 0.982, 0.627], [0.995, 0.981, 0.126]],
  "rho_g_cm3": 2.90,
  "formation_energy_ev_per_fu": -57.82
}